1.
# CsMg6BO7, optimized geometry, DFT PBE-GGA
data_CsMg6BO7
_symmetry_space_group_name_H-M 'P 4 m m'
_symmetry_Int_Tables_number 99
_symmetry_space_group_name_Hall 'P 4 -2'
_cell_length_a 4.876
_cell_length_b 4.876
_cell_length_c 7.931
_cell_angle_alpha 90.00
_cell_angle_beta 90.00
_cell_angle_gamma 90.00
loop_
_atom_site_label
_atom_site_type_symbol
_atom_site_fract_x
_atom_site_fract_y
_atom_site_fract_z
Cs1 Cs 0.000 0.000 0.000
Mg1 Mg 0.000 0.500 0.187
Mg2 Mg 0.000 0.500 0.663
Mg3 Mg 0.500 0.500 0.422
Mg4 Mg 0.500 0.500 0.916
B1 B 0.000 0.000 0.431
O1 O 0.000 0.000 0.602
O2 O 0.000 0.500 0.422
O3 O 0.000 0.500 0.914
O4 O 0.500 0.500 0.168
O5 O 0.500 0.500 0.670
# E (MP2020) = -82.51 eV per cell
# Calculated formation energy = -2047 meV/atom



2.
# CsMg6BO7, optimized geometry, DFT PBE-GGA
data_CsMg6BO7
_symmetry_space_group_name_H-M 'P 4 m m'
_symmetry_Int_Tables_number 99
_symmetry_space_group_name_Hall 'P 4 -2'
_cell_length_a 4.931
_cell_length_b 4.931
_cell_length_c 8.234
_cell_angle_alpha 90.00
_cell_angle_beta 90.00
_cell_angle_gamma 90.00
loop_
_atom_site_label
_atom_site_type_symbol
_atom_site_fract_x
_atom_site_fract_y
_atom_site_fract_z
Cs1 Cs 0.000 0.000 0.000
Mg1 Mg 0.000 0.500 0.219
Mg2 Mg 0.000 0.500 0.688
Mg3 Mg 0.500 0.500 0.455
Mg4 Mg 0.500 0.500 0.933
B1 B 0.000 0.000 0.473
O1 O 0.000 0.000 0.314
O2 O 0.000 0.000 0.632
O3 O 0.000 0.500 0.454
O4 O 0.000 0.500 0.927
O5 O 0.500 0.500 0.693
# E (MP2020) = -82.09 eV per cell
# Calculated formation energy = -2019 meV/atom



3.
# CsMg14BO16, optimized geometry, DFT PBE-GGA
data_CsMg14BO16
_symmetry_space_group_name_H-M 'P m m m'
_symmetry_Int_Tables_number 47
_symmetry_space_group_name_Hall '-P 2 2'
_cell_length_a 4.657
_cell_length_b 8.204
_cell_length_c 9.081
_cell_angle_alpha 90.00
_cell_angle_beta 90.00
_cell_angle_gamma 90.00
loop_
_atom_site_label
_atom_site_type_symbol
_atom_site_fract_x
_atom_site_fract_y
_atom_site_fract_z
Cs1 Cs 0.000 0.000 0.000
Mg1 Mg 0.000 0.000 0.500
Mg2 Mg 0.000 0.255 0.271
Mg3 Mg 0.000 0.500 0.500
Mg4 Mg 0.500 0.000 0.261
Mg5 Mg 0.500 0.252 0.500
Mg6 Mg 0.500 0.260 0.000
Mg7 Mg 0.500 0.500 0.247
B1 B 0.000 0.500 0.000
O1 O 0.000 0.000 0.285
O2 O 0.000 0.253 0.500
O3 O 0.000 0.338 0.000
O4 O 0.000 0.500 0.272
O5 O 0.500 0.000 0.000
O6 O 0.500 0.000 0.500
O7 O 0.500 0.249 0.246
O8 O 0.500 0.500 0.000
O9 O 0.500 0.500 0.500
# E (MP2020) = -194.26 eV per cell
# Calculated formation energy = -2660 meV/atom



4.
# CsMg6BO7, optimized geometry, DFT PBE-GGA
data_CsMg6BO7
_symmetry_space_group_name_H-M 'C 1 m 1'
_symmetry_Int_Tables_number 8
_symmetry_space_group_name_Hall 'C -2y'
_cell_length_a 5.981
_cell_length_b 6.092
_cell_length_c 12.199
_cell_angle_alpha 90.00
_cell_angle_beta 91.82
_cell_angle_gamma 90.00
loop_
_atom_site_label
_atom_site_type_symbol
_atom_site_fract_x
_atom_site_fract_y
_atom_site_fract_z
Cs1 Cs 0.000 0.000 0.000
Mg1 Mg 0.236 0.252 0.326
Mg2 Mg 0.260 0.240 0.691
Mg3 Mg 0.496 0.500 0.511
Mg4 Mg 0.499 0.000 0.501
B1 B 0.110 0.500 0.813
O1 O 0.003 0.000 0.671
O2 O 0.007 0.500 0.692
O3 O 0.164 0.300 0.849
O4 O 0.247 0.250 0.501
O5 O 0.486 0.000 0.326
# E (MP2020) = -179.08 eV per cell
# Calculated formation energy = -2515 meV/atom



5.
# CsMgBO3, optimized geometry, DFT PBE-GGA
data_CsMgBO3
_symmetry_space_group_name_H-M 'P 1 21/c 1'
_symmetry_Int_Tables_number 14
_symmetry_space_group_name_Hall '-P 2ybc'
_cell_length_a 20.509
_cell_length_b 4.940
_cell_length_c 16.917
_cell_angle_alpha 90.00
_cell_angle_beta 114.32
_cell_angle_gamma 90.00
loop_
_atom_site_label
_atom_site_type_symbol
_atom_site_fract_x
_atom_site_fract_y
_atom_site_fract_z
Cs1 Cs 0.058 0.223 0.100
Cs2 Cs 0.228 0.237 0.358
Cs3 Cs 0.272 0.245 0.630
Cs4 Cs 0.442 0.225 0.542
Mg1 Mg 0.059 0.719 0.278
Mg2 Mg 0.155 0.734 0.491
Mg3 Mg 0.345 0.743 0.835
Mg4 Mg 0.441 0.727 0.719
B1 B 0.080 0.217 0.385
B2 B 0.177 0.725 0.192
B3 B 0.323 0.733 0.515
B4 B 0.419 0.225 0.804
O1 O 0.038 0.157 0.805
O2 O 0.084 0.566 0.886
O3 O 0.119 0.137 0.957
O4 O 0.129 0.729 0.231
O5 O 0.150 0.712 0.102
O6 O 0.250 0.729 0.242
O7 O 0.251 0.743 0.994
O8 O 0.349 0.705 0.451
O9 O 0.373 0.736 0.601
O10 O 0.381 0.129 0.338
O11 O 0.417 0.558 0.303
O12 O 0.462 0.149 0.267
# E (MP2020) = -648.53 eV per cell
# Calculated formation energy = -2752 meV/atom



6.
# CsMg14BO15, optimized geometry, DFT PBE-GGA
data_CsMg14BO15
_symmetry_space_group_name_H-M 'P m m 2'
_symmetry_Int_Tables_number 25
_symmetry_space_group_name_Hall 'P 2 -2'
_cell_length_a 4.102
_cell_length_b 8.400
_cell_length_c 10.798
_cell_angle_alpha 90.00
_cell_angle_beta 90.00
_cell_angle_gamma 90.00
loop_
_atom_site_label
_atom_site_type_symbol
_atom_site_fract_x
_atom_site_fract_y
_atom_site_fract_z
Cs1 Cs 0.000 0.000 0.000
Mg1 Mg 0.000 0.000 0.458
Mg2 Mg 0.000 0.245 0.265
Mg3 Mg 0.000 0.245 0.656
Mg4 Mg 0.000 0.500 0.942
Mg5 Mg 0.500 0.000 0.264
Mg6 Mg 0.500 0.000 0.660
Mg7 Mg 0.500 0.245 0.848
Mg8 Mg 0.500 0.255 0.448
Mg9 Mg 0.500 0.500 0.216
Mg10 Mg 0.500 0.500 0.613
B1 B 0.000 0.500 0.432
O1 O 0.000 0.000 0.262
O2 O 0.000 0.000 0.643
O3 O 0.000 0.247 0.451
O4 O 0.000 0.300 0.846
O5 O 0.000 0.500 0.295
O6 O 0.500 0.000 0.455
O7 O 0.500 0.000 0.845
O8 O 0.500 0.248 0.242
O9 O 0.500 0.268 0.653
O10 O 0.500 0.500 0.010
O11 O 0.500 0.500 0.432
# E (MP2020) = -182.99 eV per cell
# Calculated formation energy = -2542 meV/atom



7.
# Cs3BN2, optimized geometry, DFT PBE-GGA
data_Cs3BN2
_symmetry_space_group_name_H-M 'I 41/a m d'
_symmetry_Int_Tables_number 141
_cell_length_a 9.468
_cell_length_b 9.468
_cell_length_c 14.954
_cell_angle_alpha 90.00
_cell_angle_beta 90.00
_cell_angle_gamma 90.00
loop_
_symmetry_equiv_pos_as_xyz
'x,y,z'
'-x,-y,-z'
'-y+1/4,x+3/4,z+1/4'
'y+1/4,-x+3/4,-z+1/4'
'-x+1/2,-y,z+1/2'
'x+1/2,y,-z+1/2'
'y+1/4,-x+1/4,z+3/4'
'-y+1/4,x+1/4,-z+3/4'
'x,-y,-z'
'-x,y,z'
'-y+1/4,-x+1/4,-z+3/4'
'y+1/4,x+1/4,z+3/4'
'-x+1/2,y,-z+1/2'
'x+1/2,-y,z+1/2'
'y+1/4,x+3/4,-z+1/4'
'-y+1/4,-x+3/4,z+1/4'
'x+1/2,y+1/2,z+1/2'
'-x+1/2,-y+1/2,-z+1/2'
'-y+3/4,x+1/4,z+3/4'
'y+3/4,-x+1/4,-z+3/4'
'-x,-y+1/2,z'
'x,y+1/2,-z'
'y+3/4,-x+3/4,z+1/4'
'-y+3/4,x+3/4,-z+1/4'
'x+1/2,-y+1/2,-z+1/2'
'-x+1/2,y+1/2,z+1/2'
'-y+3/4,-x+3/4,-z+1/4'
'y+3/4,x+3/4,z+1/4'
'-x,y+1/2,-z'
'x,-y+1/2,z'
'y+3/4,x+1/4,-z+3/4'
'-y+3/4,-x+1/4,z+3/4'
loop_
_atom_site_label
_atom_site_type_symbol
_atom_site_fract_x
_atom_site_fract_y
_atom_site_fract_z
Cs1 Cs 0.000 0.250 0.001
Cs2 Cs 0.198 0.052 0.375
B1 B 0.000 0.250 0.205
N1 N 0.000 0.106 0.202
# E (MP2020) = -228.49 eV per cell
# Calculated formation energy = -420 meV/atom



8.
# Cs2Na2B10O17, optimized geometry, DFT PBE-GGA
data_Cs2Na2B10O17
_symmetry_space_group_name_H-M 'C 1 2/c 1'
_symmetry_Int_Tables_number 15
_symmetry_space_group_name_Hall '-C 2yc'
_cell_length_a 22.091
_cell_length_b 6.635
_cell_length_c 11.203
_cell_angle_alpha 90.00
_cell_angle_beta 104.61
_cell_angle_gamma 90.00
loop_
_atom_site_label
_atom_site_type_symbol
_atom_site_fract_x
_atom_site_fract_y
_atom_site_fract_z
Cs1 Cs 0.060 0.195 0.097
Na1 Na 0.234 0.046 0.184
B1 B 0.055 0.303 0.738
B2 B 0.145 0.321 0.641
B3 B 0.155 0.139 0.849
B4 B 0.166 0.220 0.437
B5 B 0.180 0.430 0.003
O1 O 0.000 0.391 0.750
O2 O 0.079 0.366 0.642
O3 O 0.085 0.162 0.822
O4 O 0.144 0.176 0.538
O5 O 0.171 0.080 0.351
O6 O 0.173 0.483 0.118
O7 O 0.180 0.230 0.974
O8 O 0.181 0.233 0.756
O9 O 0.183 0.419 0.417
# E (MP2020) = -966.99 eV per cell
# Calculated formation energy = -2787 meV/atom



The lowest calculated formation energy belongs to which entry? Cs2Na2B10O17